This record from the Materials Project database describes a relaxed K2NaInF6 crystal. The functional is PBE.

Structure (POSCAR):
```
K2NaInF6
1.0
4.923 -1.561 3.383
5.480 -0.825 -2.722
4.543 4.082 0.907
K F Na In
2 6 1 1
direct
0.750 0.750 0.750
0.250 0.250 0.250
0.759 0.759 0.241
0.241 0.759 0.759
0.241 0.241 0.759
0.759 0.241 0.241
0.759 0.241 0.759
0.241 0.759 0.241
0.500 0.500 0.500
0.000 0.000 0.000
```

Computed properties:
**M_tot**: 0.0 μB/cell
**Energy of formation from the pure elements**: -2.996 eV per atom
**MP2020-corrected energy**: -4.774 eV per atom